No. 1
# Cs4PbO4

Crystalline Cs4PbO4 at its relaxed geometry (PBE, the Materials Project). Values from VASP.

Cell and atoms, written as Quantum ESPRESSO input:
```
&SYSTEM
  ibrav = 0, nat = 36, ntyp = 3
/
ATOMIC_SPECIES
Cs 132.91 Cs.upf
Pb 207.20 Pb.upf
O 16.00 O.upf
ATOMIC_POSITIONS angstrom
Cs -0.101 0.641 2.232
Cs -2.252 3.138 7.813
Cs 1.519 4.634 0.928
Cs -0.633 6.704 6.509
Cs 0.643 5.023 9.966
Cs 2.795 6.315 4.385
Cs 1.698 1.353 8.809
Cs 3.850 2.426 3.228
Cs 3.932 5.133 7.933
Cs 6.083 6.205 2.353
Cs 4.987 1.243 6.776
Cs 7.139 2.536 1.195
Cs 8.415 0.855 4.653
Cs 6.263 2.925 10.234
Cs 10.034 4.420 3.349
Cs 7.883 6.917 8.930
Pb -1.343 0.938 11.056
Pb 0.808 2.841 5.475
Pb 6.974 4.717 5.686
Pb 9.125 6.621 0.106
O -3.277 1.780 10.865
O -1.126 1.999 5.284
O 1.172 3.906 3.680
O -0.979 7.432 9.261
O 0.975 4.046 7.222
O 3.127 7.292 1.641
O 2.204 1.259 5.682
O 4.355 2.520 0.101
O 3.426 5.039 11.060
O 5.578 6.299 5.480
O 4.655 0.267 9.521
O 6.807 3.512 3.940
O 8.761 0.127 1.901
O 6.610 3.652 7.482
O 8.908 5.559 5.877
O 11.059 5.778 0.296
CELL_PARAMETERS angstrom
12.085 0.000 0.000
0.000 7.559 0.000
-4.303 0.000 11.162
```

Properties
DFT formation energy: -1.51 eV per atom
symmetry: P2_1/c, No. 14
VASP energy: -151.63 eV for the cell shown
V: 1019.6 Å³/cell

No. 2
# CsPbO3

Crystalline CsPbO3 at its relaxed geometry (PBE, the Materials Project). Values from VASP.

Cell and atoms, written as Quantum ESPRESSO input:
```
&SYSTEM
  ibrav = 0, nat = 5, ntyp = 3
/
ATOMIC_SPECIES
Cs 132.91 Cs.upf
Pb 207.20 Pb.upf
O 16.00 O.upf
ATOMIC_POSITIONS angstrom
Cs 0.000 0.000 0.000
Pb 2.240 2.240 2.240
O 0.000 2.240 2.240
O 2.240 0.000 2.240
O 2.240 2.240 0.000
CELL_PARAMETERS angstrom
4.481 0.000 0.000
0.000 4.481 0.000
0.000 0.000 4.481
```

Properties
DFT formation energy: -1.12 eV per atom
spin magnetization: 0.21 μB/atom
symmetry: Pm-3m, No. 221
VASP energy: -23.01 eV for the cell shown
V: 89.9 Å³/cell

No. 3
# CsPdO3

Crystalline CsPdO3 at its relaxed geometry (PBE, the Materials Project). Values from VASP.

Cell and atoms, written as Quantum ESPRESSO input:
```
&SYSTEM
  ibrav = 0, nat = 5, ntyp = 3
/
ATOMIC_SPECIES
Cs 132.91 Cs.upf
Pd 106.42 Pd.upf
O 16.00 O.upf
ATOMIC_POSITIONS angstrom
Cs 0.000 0.000 0.000
Pd 2.100 2.100 2.100
O 0.000 2.100 2.100
O 2.100 0.000 2.100
O 2.100 2.100 0.000
CELL_PARAMETERS angstrom
4.200 0.000 0.000
0.000 4.200 0.000
0.000 0.000 4.200
```

Properties
DFT formation energy: -0.69 eV per atom
spin magnetization: 0.43 μB/atom
symmetry: Pm-3m, No. 221
VASP energy: -22.31 eV for the cell shown
V: 74.1 Å³/cell

No. 4
# Cs2PrO3

Crystalline Cs2PrO3 at its relaxed geometry (PBE, the Materials Project). Values from VASP.

Cell and atoms, written as Quantum ESPRESSO input:
```
&SYSTEM
  ibrav = 0, nat = 12, ntyp = 3
/
ATOMIC_SPECIES
Cs 132.91 Cs.upf
Pr 140.91 Pr.upf
O 16.00 O.upf
ATOMIC_POSITIONS angstrom
Cs 1.943 1.079 0.000
Cs 1.943 -1.079 3.365
Cs 9.946 1.079 0.000
Cs 9.946 -1.079 3.365
Pr 5.944 0.754 0.291
Pr 5.944 -0.754 3.656
O 5.944 2.900 0.872
O 4.472 0.197 5.234
O 4.472 -0.197 1.869
O 7.416 0.197 5.234
O 7.416 -0.197 1.869
O 5.944 -2.900 4.237
CELL_PARAMETERS angstrom
5.944 -3.901 0.000
5.944 3.901 0.000
0.000 0.000 6.730
```

Properties
DFT formation energy: -2.18 eV per atom
spin magnetization: 0.17 μB/atom
symmetry: Cmc2_1, No. 36
VASP energy: -64.91 eV for the cell shown
V: 312.1 Å³/cell

No. 5
# CsPrS2O8

Crystalline CsPrS2O8 at its relaxed geometry (PBE, the Materials Project). Values from VASP.

Cell and atoms, written as Quantum ESPRESSO input:
```
&SYSTEM
  ibrav = 0, nat = 48, ntyp = 4
/
ATOMIC_SPECIES
Cs 132.91 Cs.upf
Pr 140.91 Pr.upf
S 32.06 S.upf
O 16.00 O.upf
ATOMIC_POSITIONS angstrom
Cs 0.751 3.635 1.377
Cs 4.110 10.906 1.377
Cs 5.612 3.635 4.130
Cs 8.971 10.906 4.130
Pr 2.431 0.000 3.726
Pr 2.431 7.271 4.535
Pr 7.292 0.000 1.781
Pr 7.292 7.271 0.972
S 0.837 8.495 1.443
S 0.837 13.317 1.311
S 4.024 1.224 1.311
S 4.024 6.047 1.443
S 5.698 8.495 4.064
S 5.698 13.317 4.196
S 8.885 1.224 4.196
S 8.885 6.047 4.064
O 0.598 1.627 4.263
O 0.598 5.643 3.998
O 0.946 0.221 1.680
O 0.946 7.050 1.073
O 1.472 8.748 2.766
O 1.472 13.064 5.495
O 1.541 9.264 0.366
O 1.541 12.548 2.387
O 3.320 1.994 2.387
O 3.320 5.277 0.366
O 3.389 1.477 5.495
O 3.389 5.794 2.766
O 3.915 7.492 1.073
O 3.915 14.320 1.680
O 4.263 8.898 3.998
O 4.263 12.914 4.263
O 5.459 1.627 1.244
O 5.459 5.643 1.509
O 5.807 0.221 3.827
O 5.807 7.050 4.434
O 6.333 8.748 2.741
O 6.333 13.064 0.013
O 6.403 9.264 5.141
O 6.403 12.548 3.120
O 8.181 1.994 3.120
O 8.181 5.277 5.141
O 8.250 1.477 0.013
O 8.250 5.794 2.741
O 8.776 7.492 4.434
O 8.776 14.320 3.827
O 9.124 8.898 1.509
O 9.124 12.914 1.244
CELL_PARAMETERS angstrom
9.722 0.000 0.000
0.000 14.541 0.000
0.000 0.000 5.507
```

Properties
DFT formation energy: -2.55 eV per atom
spin magnetization: 0.00 μB/atom
symmetry: Pnna, No. 52
VASP energy: -314.61 eV for the cell shown
V: 778.5 Å³/cell

No. 6
# CsPrS2O12

Crystalline CsPrS2O12 at its relaxed geometry (PBE, the Materials Project). Values from VASP.

Cell and atoms, written as Quantum ESPRESSO input:
```
&SYSTEM
  ibrav = 0, nat = 64, ntyp = 4
/
ATOMIC_SPECIES
Cs 132.91 Cs.upf
Pr 140.91 Pr.upf
S 32.06 S.upf
O 16.00 O.upf
ATOMIC_POSITIONS angstrom
Cs 0.928 4.130 1.258
Cs 0.879 5.764 5.789
Cs 5.519 14.023 3.273
Cs 5.470 15.658 7.804
Pr 2.280 12.482 6.491
Pr 2.329 17.199 1.960
Pr 4.069 2.588 7.102
Pr 4.118 7.306 2.571
S 1.233 1.312 7.098
S 1.282 8.582 2.567
S 2.413 14.246 0.881
S 2.364 15.436 5.412
S 4.034 4.352 3.650
S 3.985 5.542 8.181
S 5.116 11.206 6.494
S 5.165 18.476 1.963
O -0.053 2.093 7.257
O -0.004 7.801 2.726
O 1.048 9.994 2.368
O 0.999 19.688 6.899
O 1.131 14.592 5.704
O 1.180 15.090 1.173
O 1.250 12.194 4.202
O 1.201 17.488 8.733
O 1.499 1.298 2.892
O 1.450 8.596 7.423
O 1.898 0.559 1.986
O 1.850 9.335 6.517
O 1.930 1.987 5.913
O 1.979 7.907 1.382
O 2.128 1.599 8.272
O 2.177 8.294 3.741
O 2.248 13.828 8.512
O 2.297 15.854 3.981
O 2.416 11.102 8.647
O 2.464 18.579 4.116
O 2.519 13.113 1.785
O 2.470 16.569 6.316
O 2.833 4.572 8.005
O 2.882 5.322 3.474
O 3.516 14.466 5.588
O 3.565 15.216 1.057
O 3.928 3.219 2.745
O 3.879 6.675 7.276
O 3.934 1.208 4.946
O 3.983 8.686 0.415
O 4.101 3.934 5.081
O 4.150 5.960 0.550
O 4.221 11.493 5.321
O 4.270 18.188 0.790
O 4.419 11.881 7.680
O 4.468 17.801 3.149
O 4.549 10.453 2.545
O 4.500 19.228 7.076
O 4.948 11.192 1.639
O 4.899 18.490 6.170
O 5.197 2.300 0.328
O 5.148 7.594 4.859
O 5.218 4.698 7.889
O 5.267 5.196 3.358
O 5.399 0.100 2.163
O 5.350 9.794 6.694
O 6.402 11.987 6.335
O 6.451 17.695 1.804
CELL_PARAMETERS angstrom
6.496 0.000 0.000
0.000 19.788 0.000
-0.098 0.000 9.062
```

Properties
DFT formation energy: -1.30 eV per atom
spin magnetization: 0.38 μB/atom
symmetry: P2_1/c, No. 14
VASP energy: -368.50 eV for the cell shown
V: 1164.8 Å³/cell

No. 7
# CsPuO3

Crystalline CsPuO3 at its relaxed geometry (PBE, the Materials Project). Values from VASP.

Cell and atoms, written as Quantum ESPRESSO input:
```
&SYSTEM
  ibrav = 0, nat = 20, ntyp = 3
/
ATOMIC_SPECIES
O 16.00 O.upf
Cs 132.91 Cs.upf
Pu 244.00 Pu.upf
ATOMIC_POSITIONS angstrom
O 4.881 1.733 4.390
O 0.001 3.149 2.196
O 1.733 1.414 0.002
O 1.415 4.562 8.782
O 1.733 1.414 4.390
O 4.562 4.880 8.782
O 1.415 4.562 4.394
O 4.881 1.733 0.002
O 4.562 4.880 4.394
O 3.149 6.293 2.196
O 3.147 0.001 6.588
O 6.295 3.146 6.588
Cs 0.000 6.294 2.196
Cs 3.148 3.148 2.196
Cs 6.296 0.000 6.588
Cs 3.148 3.147 6.588
Pu 0.000 3.147 0.000
Pu 0.000 3.147 4.392
Pu 3.148 0.000 4.392
Pu 3.148 0.000 0.000
CELL_PARAMETERS angstrom
6.296 0.000 0.000
0.000 6.295 0.000
0.000 0.000 8.784
```

Properties
DFT formation energy: -2.90 eV per atom
spin magnetization: 0.60 μB/atom
VASP energy: -169.87 eV for the cell shown
V: 348.1 Å³/cell

No. 8
# Cs11Rb7O3

Crystalline Cs11Rb7O3 at its relaxed geometry (PBE, the Materials Project). Values from VASP.

Cell and atoms, written as Quantum ESPRESSO input:
```
&SYSTEM
  ibrav = 0, nat = 84, ntyp = 3
/
ATOMIC_SPECIES
Cs 132.91 Cs.upf
Rb 85.47 Rb.upf
O 16.00 O.upf
ATOMIC_POSITIONS angstrom
Cs 0.148 5.351 10.843
Cs 0.179 0.993 23.765
Cs 0.199 21.334 14.741
Cs 0.252 0.851 30.984
Cs 0.289 21.112 7.447
Cs 0.342 16.748 27.153
Cs 0.358 1.157 11.009
Cs 0.406 20.969 27.295
Cs 2.242 2.748 8.073
Cs 2.252 2.910 13.806
Cs 2.269 20.012 11.134
Cs 2.289 2.147 27.431
Cs 2.306 19.249 30.103
Cs 2.316 19.411 24.370
Cs 4.152 1.190 10.998
Cs 4.200 21.002 27.306
Cs 4.216 5.410 10.856
Cs 4.268 1.047 23.744
Cs 4.306 21.308 14.687
Cs 4.359 0.824 31.038
Cs 4.378 21.166 7.469
Cs 4.410 16.807 27.140
Cs 4.705 5.728 21.751
Cs 4.737 10.086 8.828
Cs 4.756 11.904 17.852
Cs 4.810 10.229 1.610
Cs 4.847 12.126 25.147
Cs 4.899 16.490 5.441
Cs 4.916 9.923 21.585
Cs 4.964 12.269 5.298
Cs 6.799 8.331 24.521
Cs 6.810 8.169 18.788
Cs 6.826 13.226 21.460
Cs 6.847 8.933 5.163
Cs 6.863 13.989 2.491
Cs 6.874 13.828 8.224
Cs 8.709 9.890 21.595
Cs 8.757 12.236 5.288
Cs 8.774 5.669 21.738
Cs 8.826 10.033 8.850
Cs 8.863 11.930 17.907
Cs 8.917 10.255 1.555
Cs 8.936 12.072 25.125
Cs 8.968 16.431 5.454
Rb 2.226 7.145 26.505
Rb 2.230 2.442 18.772
Rb 2.254 6.832 4.983
Rb 2.258 10.864 13.268
Rb 2.269 6.144 31.490
Rb 2.270 19.632 19.246
Rb 2.276 7.094 16.579
Rb 2.281 15.065 0.283
Rb 2.288 2.526 2.950
Rb 2.289 16.015 15.193
Rb 2.299 11.295 29.565
Rb 2.303 15.326 21.280
Rb 2.328 19.716 2.476
Rb 2.332 15.013 10.209
Rb 6.784 3.934 6.088
Rb 6.787 8.637 13.821
Rb 6.812 4.247 27.611
Rb 6.816 0.215 19.325
Rb 6.826 4.935 1.104
Rb 6.828 13.606 13.347
Rb 6.834 3.986 16.014
Rb 6.839 18.173 32.311
Rb 6.845 8.553 29.644
Rb 6.847 17.223 17.401
Rb 6.857 21.943 3.029
Rb 6.861 17.912 11.314
Rb 6.886 13.522 30.118
Rb 6.889 18.225 22.385
O 2.211 3.526 10.896
O 2.240 0.076 13.086
O 2.249 0.067 25.336
O 2.308 22.091 9.039
O 2.318 22.082 29.383
O 2.346 18.633 27.193
O 6.769 7.553 21.697
O 6.798 11.003 19.508
O 6.807 11.012 7.258
O 6.866 11.147 23.555
O 6.875 11.156 3.211
O 6.904 14.605 5.400
CELL_PARAMETERS angstrom
9.115 0.000 0.000
0.000 22.159 0.000
0.000 0.000 32.594
```

Properties
DFT formation energy: -0.52 eV per atom
spin magnetization: 0.00 μB/atom
symmetry: P2_12_12_1, No. 19
VASP energy: -161.89 eV for the cell shown
V: 6583.4 Å³/cell

No. 9
# CsRbO3

Crystalline CsRbO3 at its relaxed geometry (PBE, the Materials Project). Values from VASP.

Cell and atoms, written as Quantum ESPRESSO input:
```
&SYSTEM
  ibrav = 0, nat = 5, ntyp = 3
/
ATOMIC_SPECIES
Cs 132.91 Cs.upf
Rb 85.47 Rb.upf
O 16.00 O.upf
ATOMIC_POSITIONS angstrom
Cs 0.000 0.000 0.000
Rb 2.280 2.280 2.280
O 0.000 0.000 2.280
O 0.000 2.280 0.000
O 2.280 0.000 0.000
CELL_PARAMETERS angstrom
4.560 0.000 0.000
0.000 4.560 0.000
0.000 0.000 4.560
```

Properties
DFT formation energy: -0.42 eV per atom
spin magnetization: 0.00 μB/atom
symmetry: Pm-3m, No. 221
VASP energy: -16.75 eV for the cell shown
V: 94.8 Å³/cell

No. 10
# Cs3ReO5

Crystalline Cs3ReO5 at its relaxed geometry (PBE, the Materials Project). Values from VASP.

Cell and atoms, written as Quantum ESPRESSO input:
```
&SYSTEM
  ibrav = 0, nat = 36, ntyp = 3
/
ATOMIC_SPECIES
Cs 132.91 Cs.upf
Re 186.21 Re.upf
O 16.00 O.upf
ATOMIC_POSITIONS angstrom
Cs 0.414 2.383 2.415
Cs 2.257 0.000 5.006
Cs 2.257 0.000 9.443
Cs 2.257 4.766 5.045
Cs 2.257 4.766 9.482
Cs 4.100 7.149 2.415
Cs 4.929 2.383 7.244
Cs 6.772 0.000 0.216
Cs 6.772 0.000 4.652
Cs 6.772 4.766 0.177
Cs 6.772 4.766 4.614
Cs 8.615 7.149 7.244
Re 0.224 2.383 7.244
Re 4.290 7.149 7.244
Re 4.739 2.383 2.415
Re 8.804 7.149 2.415
O 0.196 6.852 0.628
O 0.196 7.446 4.202
O 0.278 5.386 2.711
O 0.278 8.912 2.119
O 2.020 2.383 7.244
O 2.494 7.149 7.244
O 4.237 0.620 2.119
O 4.237 4.146 2.711
O 4.318 2.086 4.202
O 4.318 2.680 0.628
O 4.710 6.852 9.031
O 4.710 7.446 5.457
O 4.792 5.386 6.948
O 4.792 8.912 7.540
O 6.535 2.383 2.415
O 7.008 7.149 2.415
O 8.751 0.620 7.540
O 8.751 4.146 6.948
O 8.833 2.086 5.457
O 8.833 2.680 9.031
CELL_PARAMETERS angstrom
9.029 0.000 0.000
0.000 9.532 0.000
0.000 0.000 9.659
```

Properties
DFT formation energy: -2.14 eV per atom
spin magnetization: 0.00 μB/atom
symmetry: Pnna, No. 52
VASP energy: -222.68 eV for the cell shown
V: 831.2 Å³/cell

No. 11
# Cs2S5O

Crystalline Cs2S5O at its relaxed geometry (PBE, the Materials Project). Values from VASP.

Cell and atoms, written as Quantum ESPRESSO input:
```
&SYSTEM
  ibrav = 0, nat = 16, ntyp = 3
/
ATOMIC_SPECIES
Cs 132.91 Cs.upf
S 32.06 S.upf
O 16.00 O.upf
ATOMIC_POSITIONS angstrom
Cs 2.261 2.664 3.158
Cs 4.220 5.534 7.909
Cs 6.233 5.906 1.609
Cs 8.192 8.776 6.360
S 2.320 7.478 2.871
S 3.594 6.741 4.297
S 3.095 7.549 0.671
S 5.153 8.919 9.202
S 4.685 8.254 5.130
S 5.768 3.186 4.387
S 5.300 2.521 0.316
S 7.358 3.891 8.847
S 6.859 4.698 5.221
S 8.133 3.962 6.647
O 3.692 8.645 8.792
O 6.761 2.795 0.726
CELL_PARAMETERS angstrom
6.833 0.000 0.000
1.290 8.351 0.000
2.330 3.089 9.518
```

Properties
DFT formation energy: -0.78 eV per atom
spin magnetization: 0.00 μB/atom
symmetry: P-1, No. 2
VASP energy: -65.93 eV for the cell shown
V: 543.1 Å³/cell

No. 12
# CsSO4

Crystalline CsSO4 at its relaxed geometry (PBE, the Materials Project). Values from VASP.

Cell and atoms, written as Quantum ESPRESSO input:
```
&SYSTEM
  ibrav = 0, nat = 24, ntyp = 3
/
ATOMIC_SPECIES
Cs 132.91 Cs.upf
S 32.06 S.upf
O 16.00 O.upf
ATOMIC_POSITIONS angstrom
Cs -1.376 1.022 2.878
Cs -4.103 3.252 7.026
Cs 5.318 5.296 1.270
Cs 2.591 7.526 5.418
S -0.578 5.491 5.312
S 2.150 7.331 1.164
S -0.935 1.217 7.132
S 1.792 3.057 2.984
O -1.899 5.008 5.668
O 0.828 7.814 1.521
O -1.904 1.284 6.039
O 0.824 2.990 1.891
O 2.169 6.169 0.280
O -0.558 6.652 4.428
O 2.616 0.112 0.233
O -0.111 4.162 4.381
O 1.326 4.386 3.915
O -1.401 8.435 8.062
O 1.773 1.895 3.868
O -0.954 2.379 8.016
O 0.391 5.558 6.404
O 3.118 7.264 2.257
O 0.386 0.734 6.775
O 3.113 3.540 2.627
CELL_PARAMETERS angstrom
6.669 0.000 0.000
0.000 8.548 0.000
-5.454 0.000 8.296
```

Properties
DFT formation energy: -1.80 eV per atom
spin magnetization: 0.00 μB/atom
symmetry: P2_1/c, No. 14
VASP energy: -134.97 eV for the cell shown
V: 472.9 Å³/cell